# 1
Density functional theory data (PBE) for crystalline ThS at its relaxed geometry.

a = 4.0443 Å, b = 4.0443 Å, c = 4.0443 Å
α = 60.00°, β = 60.00°, γ = 60.00°
Atoms (fractional coordinates):
Th  0.0000  0.0000  0.0000
S  0.5000  0.5000  0.5000

## Properties
The corrected total energy (MP2020 scheme) is -7.871 eV/atom. For the formation energy, the calculation gives -2096 meV/atom.

***

# 2
Density functional theory data (PBE) for crystalline ThS2 at its relaxed geometry.

a = 7.2780 Å, b = 4.2995 Å, c = 8.6500 Å
α = 90.00°, β = 90.00°, γ = 90.00°
Atoms (fractional coordinates):
Th  0.2497  0.2500  0.1172
Th  0.2503  0.7500  0.6172
Th  0.7497  0.2500  0.3828
Th  0.7503  0.7500  0.8828
S  0.0276  0.2500  0.8350
S  0.1394  0.2500  0.4292
S  0.3606  0.7500  0.9292
S  0.4724  0.7500  0.3350
S  0.5276  0.2500  0.6650
S  0.6394  0.2500  0.0708
S  0.8606  0.7500  0.5708
S  0.9724  0.7500  0.1650

## Properties
The corrected total energy (MP2020 scheme) is -7.549 eV/atom. For the formation energy, the calculation gives -2320 meV/atom.

***

Calculated calculated density (g cm⁻³), listed in the same order as above: 9.38; 7.27
Calculated V (Å³/atom), listed in the same order as above: 23.39; 22.56